(1)
## Pm3Er (PBE-GGA)

Data for a relaxed structure of Pm3Er.

Cell lengths 6.298, 6.298, 6.298 Å; angles 132.15, 132.15, 69.99 degrees
Fractional coordinates of all 4 atoms:
Pm 0.000 0.000 0.000
Pm 0.250 0.750 0.500
Pm 0.750 0.250 0.500
Er 0.500 0.500 0.000

Output
As for the symmetry: No. 139.


(2)
## Pm3Er (PBE-GGA)

Data for a relaxed structure of Pm3Er.

Cell lengths 5.121, 5.121, 5.121 Å; angles 90.00, 90.00, 90.00 degrees
Fractional coordinates of all 4 atoms:
Pm 0.000 0.000 0.500
Pm 0.000 0.500 0.000
Pm 0.500 0.000 0.000
Er 0.500 0.500 0.500

Output
As for the symmetry: No. 221.


Compare the structures above. Which one is the least stable? (1) is.